## Na6Ta8Zn16Si3S33O144 (PBE)

Data for a relaxed Na6Ta8Zn16Si3S33O144 crystal.

Computed properties:
Raw total energy (eV/atom): -6.340
Energy relative to the elements (eV/atom): -2.10
Spin magnetization (μB/atom): 0.000

POSCAR file:
```
Na6Ta8Zn16Si3S33O144
1.0
17.495 0.005 0.020
-4.371 7.572 -0.014
0.025 -0.025 22.620
Na Ta Zn Si S O
6 8 16 3 33 144
Cartesian
-4.302 7.494 11.100 Na
8.644 -0.003 22.614 Na
4.399 2.500 18.975 Na
13.227 2.612 18.766 Na
4.387 2.546 7.548 Na
13.158 2.559 7.680 Na
-4.298 7.498 14.596 Ta
4.387 7.558 14.491 Ta
0.053 0.008 3.255 Ta
8.718 4.930 0.507 Ta
-0.027 5.033 7.138 Ta
8.732 5.033 7.086 Ta
-0.060 5.034 18.349 Ta
8.738 4.972 18.345 Ta
-4.312 7.490 8.033 Zn
4.368 7.547 7.969 Zn
-4.292 7.508 19.279 Zn
8.677 0.014 19.375 Zn
4.258 7.550 3.409 Zn
4.363 2.491 15.409 Zn
13.227 2.613 15.454 Zn
4.443 2.520 4.095 Zn
13.084 2.505 4.176 Zn
4.478 2.424 22.172 Zn
13.219 2.563 22.230 Zn
4.372 2.482 10.881 Zn
13.256 2.635 10.840 Zn
0.057 5.133 0.473 Zn
-0.111 5.032 11.716 Zn
8.780 5.042 11.761 Zn
14.314 5.295 17.052 Si
7.437 2.733 20.723 Si
-2.628 5.033 9.506 Si
2.563 0.024 5.672 S
11.297 0.033 5.680 S
3.129 5.326 5.672 S
11.871 5.364 5.668 S
16.227 2.169 5.699 S
7.456 2.187 5.687 S
1.328 2.184 16.988 S
10.050 2.125 16.988 S
5.622 5.372 16.988 S
6.234 0.008 16.979 S
14.975 0.005 17.022 S
6.912 2.571 13.204 S
15.711 2.517 13.216 S
3.161 0.309 13.202 S
11.939 0.327 13.214 S
3.067 4.667 13.187 S
11.805 4.700 13.203 S
5.600 4.774 1.874 S
14.428 4.689 1.916 S
5.667 0.304 1.894 S
14.390 0.328 1.901 S
1.856 2.588 1.882 S
10.608 2.469 1.879 S
2.560 5.008 20.734 S
11.292 5.038 20.751 S
-1.240 2.798 20.756 S
-1.274 7.224 20.759 S
7.542 7.218 20.746 S
1.315 7.260 9.445 S
10.010 7.232 9.450 S
1.308 2.839 9.450 S
10.000 2.810 9.447 S
6.199 5.050 9.459 S
1.717 0.232 6.826 O
10.500 0.225 6.887 O
3.725 5.934 6.867 O
12.443 5.980 6.844 O
7.699 1.400 6.887 O
16.474 1.354 6.872 O
1.090 1.400 18.181 O
9.791 1.347 18.181 O
5.084 5.987 18.184 O
13.725 5.997 18.324 O
7.049 0.225 18.160 O
15.766 0.226 18.214 O
2.741 7.357 15.750 O
11.463 7.343 15.787 O
0.676 1.576 15.765 O
9.380 1.530 15.777 O
-3.397 6.304 15.689 O
5.399 6.228 15.769 O
3.285 6.137 4.459 O
12.107 6.229 4.443 O
-0.658 1.487 4.444 O
8.113 1.701 4.475 O
-2.714 7.366 4.431 O
6.172 7.316 4.451 O
6.132 2.734 14.430 O
14.910 2.691 14.423 O
3.660 0.923 14.432 O
12.450 0.924 14.441 O
3.330 3.927 14.420 O
12.041 3.941 14.423 O
5.524 3.969 3.086 O
14.166 3.901 3.119 O
5.083 0.901 3.116 O
13.783 0.867 3.106 O
2.635 2.740 3.106 O
11.369 2.777 3.085 O
2.610 2.225 0.693 O
11.411 2.305 0.660 O
5.045 4.164 0.674 O
13.721 4.221 0.719 O
5.463 1.146 0.691 O
14.266 1.145 0.704 O
3.271 1.152 12.009 O
12.001 1.160 12.023 O
3.790 4.181 12.014 O
12.492 4.209 12.014 O
6.143 2.209 12.019 O
14.923 2.167 12.027 O
1.745 5.235 21.928 O
10.392 5.182 21.957 O
-0.677 3.431 21.935 O
8.128 3.609 21.998 O
-1.012 6.392 21.921 O
7.868 6.377 21.953 O
1.099 6.454 10.627 O
9.791 6.400 10.628 O
0.773 3.451 10.650 O
9.415 3.448 10.618 O
-1.660 5.310 10.727 O
7.038 5.234 10.629 O
-1.538 4.864 8.131 O
7.147 4.861 8.211 O
0.674 6.533 8.190 O
9.435 6.490 8.203 O
1.026 3.724 8.190 O
9.683 3.747 8.205 O
-0.947 3.713 19.509 O
7.873 3.788 19.453 O
-0.627 6.495 19.516 O
8.146 6.552 19.509 O
1.664 4.874 19.496 O
10.377 4.859 19.531 O
-3.488 6.374 9.303 O
5.397 6.231 9.201 O
2.737 7.391 9.178 O
11.445 7.386 9.243 O
0.651 1.556 9.227 O
9.359 1.533 9.188 O
-0.643 1.505 20.489 O
8.290 1.395 20.698 O
-2.701 7.353 20.557 O
6.100 7.261 20.627 O
3.425 6.192 20.568 O
12.054 6.244 20.652 O
7.804 1.287 13.479 O
16.589 1.251 13.460 O
1.591 0.212 13.380 O
10.359 0.170 13.508 O
3.743 6.086 13.470 O
12.452 6.137 13.416 O
5.110 6.147 2.014 O
13.763 6.095 2.192 O
7.158 0.176 2.017 O
15.887 0.144 2.162 O
0.952 1.285 2.179 O
9.680 1.352 2.011 O
5.349 1.156 16.777 O
14.037 1.093 16.803 O
2.766 2.369 16.783 O
11.468 2.335 16.785 O
5.107 4.021 16.797 O
13.773 3.815 16.862 O
3.693 3.966 5.516 O
12.421 4.024 5.468 O
6.009 2.416 5.547 O
14.796 2.360 5.478 O
3.424 1.174 5.455 O
12.230 1.175 5.540 O
3.337 3.766 20.796 O
12.065 3.795 20.844 O
5.857 2.768 20.762 O
14.766 2.735 20.810 O
3.780 0.951 20.771 O
12.554 0.956 20.864 O
4.994 0.997 9.474 O
13.654 0.925 9.481 O
2.785 2.743 9.463 O
11.456 2.740 9.470 O
5.412 3.803 9.484 O
14.041 3.653 9.410 O
0.896 3.658 1.719 O
9.747 3.764 1.676 O
-1.657 4.924 1.720 O
7.156 4.921 1.640 O
0.680 6.548 1.736 O
9.473 6.532 1.651 O
-0.675 6.543 13.088 O
8.021 6.528 13.041 O
1.658 4.926 13.008 O
10.380 4.937 13.043 O
-0.871 3.629 13.059 O
7.842 3.667 13.041 O
-0.987 6.342 5.765 O
7.814 6.354 5.923 O
1.626 5.202 5.896 O
10.369 5.261 5.813 O
-0.565 3.490 5.775 O
8.096 3.584 5.924 O
0.679 3.540 17.149 O
9.390 3.512 17.135 O
-1.496 5.230 17.208 O
7.152 5.296 17.129 O
1.054 6.322 17.117 O
9.788 6.294 17.185 O
```